[1]
VASP calculation (GGA+U) on a geometry-optimized LiV4P3O12 structure.

Lattice parameters (Å, degrees): 6.478 9.831 16.480 90.00 90.00 90.00
Fractional coordinates of all 80 atoms:
O (0.000, 0.882, 0.747)
O (0.500, 0.618, 0.247)
O (0.200, 0.395, 0.321)
O (0.813, 0.899, 0.611)
P (0.000, 0.790, 0.963)
P (0.000, 0.458, 0.285)
O (0.192, 0.837, 0.911)
V (0.251, 0.758, 0.294)
O (0.500, 0.382, 0.753)
O (0.500, 0.866, 0.474)
V (0.251, 0.242, 0.706)
O (0.000, 0.148, 0.953)
P (0.500, 0.290, 0.537)
O (0.000, 0.634, 0.974)
O (0.800, 0.605, 0.679)
O (0.000, 0.615, 0.282)
O (0.313, 0.601, 0.111)
O (0.000, 0.852, 0.047)
O (0.000, 0.385, 0.718)
O (0.000, 0.108, 0.670)
O (0.808, 0.163, 0.089)
Li (0.500, 0.745, 0.055)
O (0.500, 0.115, 0.218)
P (0.000, 0.542, 0.715)
O (0.808, 0.837, 0.911)
O (0.300, 0.105, 0.821)
P (0.000, 0.210, 0.037)
Li (0.000, 0.755, 0.555)
P (0.000, 0.950, 0.659)
V (0.249, 0.258, 0.206)
V (0.500, 0.049, 0.407)
O (0.800, 0.395, 0.321)
O (0.000, 0.366, 0.026)
V (0.000, 0.008, 0.860)
V (0.751, 0.258, 0.206)
O (0.500, 0.608, 0.830)
O (0.500, 0.095, 0.693)
O (0.187, 0.101, 0.389)
O (0.500, 0.392, 0.170)
V (0.751, 0.742, 0.794)
P (0.500, 0.710, 0.463)
P (0.000, 0.050, 0.341)
O (0.300, 0.895, 0.179)
P (0.500, 0.958, 0.215)
O (0.192, 0.163, 0.089)
O (0.000, 0.892, 0.330)
O (0.000, 0.118, 0.253)
O (0.500, 0.352, 0.453)
O (0.200, 0.605, 0.679)
Li (0.500, 0.255, 0.945)
O (0.187, 0.899, 0.611)
V (0.000, 0.992, 0.140)
O (0.500, 0.885, 0.782)
O (0.700, 0.105, 0.821)
O (0.000, 0.405, 0.193)
O (0.308, 0.663, 0.411)
V (0.249, 0.742, 0.794)
O (0.692, 0.663, 0.411)
O (0.308, 0.337, 0.589)
P (0.500, 0.550, 0.159)
V (0.000, 0.549, 0.093)
O (0.687, 0.601, 0.111)
O (0.000, 0.595, 0.807)
O (0.700, 0.895, 0.179)
V (0.500, 0.492, 0.360)
O (0.313, 0.399, 0.889)
V (0.749, 0.242, 0.706)
V (0.500, 0.508, 0.640)
V (0.749, 0.758, 0.294)
O (0.500, 0.648, 0.547)
P (0.500, 0.042, 0.785)
O (0.500, 0.905, 0.307)
O (0.687, 0.399, 0.889)
P (0.500, 0.450, 0.841)
O (0.692, 0.337, 0.589)
O (0.500, 0.134, 0.526)
V (0.000, 0.451, 0.907)
V (0.500, 0.951, 0.593)
Li (0.000, 0.245, 0.445)
O (0.813, 0.101, 0.389)

Computed properties:
total magnetization	0.3000	μB/atom
relative energy among the computed polymorphs	0.025	eV/atom
energy of formation	-2519	meV/atom
ρ	3.14	Mg/m³

[2]
VASP calculation (GGA+U) on a geometry-optimized Ba2Ni3O7 structure.

Lattice parameters (Å, degrees): 3.707 3.736 13.046 90.00 90.00 90.00
Fractional coordinates of all 12 atoms:
O (0.500, 0.000, 0.359)
Ba (0.500, 0.500, 0.197)
Ni (0.000, 0.000, 0.617)
Ba (0.500, 0.500, 0.803)
Ni (0.000, 0.000, 0.383)
O (0.000, 0.500, 0.000)
O (0.500, 0.000, 0.641)
O (0.000, 0.500, 0.357)
O (0.000, 0.000, 0.862)
Ni (0.000, 0.000, 0.000)
O (0.000, 0.500, 0.643)
O (0.000, 0.000, 0.138)

Computed properties:
total magnetization	0.4180	μB/atom
energy of formation	-1289	meV/atom
ρ	5.17	Mg/m³

[3]
VASP calculation (GGA+U) on a geometry-optimized Li4MnSi3O9 structure.

Lattice parameters (Å, degrees): 6.354 6.354 10.127 89.04 89.04 107.46
Fractional coordinates of all 34 atoms:
O (0.709, 0.965, 0.422)
O (0.035, 0.291, 0.578)
Si (0.509, 0.869, 0.054)
O (0.142, 0.203, 0.203)
O (0.484, 0.021, 0.647)
O (0.797, 0.858, 0.797)
O (0.979, 0.516, 0.353)
Si (0.072, 0.524, 0.501)
O (0.950, 0.687, 0.586)
O (0.119, 0.664, 0.821)
Si (0.341, 0.118, 0.252)
Li (0.997, 0.003, 0.000)
Mn (0.829, 0.174, 0.744)
Mn (0.826, 0.171, 0.256)
Si (0.131, 0.491, 0.946)
O (0.349, 0.651, 0.500)
Li (0.543, 0.457, 0.500)
O (0.119, 0.255, 0.884)
Li (0.629, 0.371, 0.000)
O (0.506, 0.050, 0.941)
O (0.745, 0.881, 0.116)
O (0.313, 0.050, 0.414)
Si (0.882, 0.659, 0.748)
Li (0.810, 0.619, 0.206)
O (0.950, 0.494, 0.059)
Li (0.995, 0.005, 0.500)
Si (0.476, 0.928, 0.499)
Li (0.188, 0.537, 0.208)
O (0.689, 0.428, 0.776)
Li (0.463, 0.812, 0.792)
O (0.390, 0.610, 0.000)
Li (0.381, 0.190, 0.794)
O (0.336, 0.881, 0.179)
O (0.572, 0.311, 0.224)

Computed properties:
total magnetization	0.2942	μB/atom
energy of formation	-2780	meV/atom
ρ	2.65	Mg/m³

[4]
VASP calculation (GGA+U) on a geometry-optimized Mg2Co9O13 structure.

Lattice parameters (Å, degrees): 5.174 5.174 16.600 81.83 81.83 32.87
Fractional coordinates of all 24 atoms:
O (0.139, 0.139, 0.224)
O (0.302, 0.302, 0.927)
Co (0.002, 0.002, 0.329)
O (0.363, 0.363, 0.307)
O (0.637, 0.637, 0.693)
Mg (0.790, 0.790, 0.227)
Co (0.646, 0.646, 0.960)
Co (0.354, 0.354, 0.040)
Co (0.500, 0.500, 0.500)
O (0.421, 0.421, 0.147)
O (0.128, 0.128, 0.535)
O (0.606, 0.606, 0.391)
Co (0.247, 0.247, 0.417)
Co (0.753, 0.753, 0.583)
O (0.861, 0.861, 0.776)
O (0.000, 0.000, 0.000)
O (0.394, 0.394, 0.609)
Co (0.934, 0.934, 0.872)
O (0.872, 0.872, 0.465)
O (0.698, 0.698, 0.073)
Mg (0.210, 0.210, 0.773)
Co (0.998, 0.998, 0.671)
Co (0.066, 0.066, 0.128)
O (0.579, 0.579, 0.853)

Computed properties:
total magnetization	1.1260	μB/atom
energy of formation	-1469	meV/atom
ρ	5.48	Mg/m³